Material: BiPPb2
Method: DFT, PBE-GGA
State: relaxed

The structure in extended XYZ format:
```
16
Lattice="-4.394 2.611 0.355 -4.059 -6.936 0.764 1.317 0.565 12.138" Properties=species:S:1:pos:R:3 pbc="T T T"
P -1.821 -0.530 6.840
Bi -3.532 -4.037 8.555
P -3.459 1.015 12.171
Bi -3.604 0.278 4.701
Pb -4.512 -0.989 8.025
Pb -0.072 1.061 10.930
P -3.678 -4.775 1.086
Pb -1.942 -2.135 11.282
Pb -5.194 -1.625 1.975
Pb -2.641 2.206 7.673
Bi -1.674 -1.142 2.065
Pb -2.624 -2.770 5.232
P -5.315 -3.229 6.416
Pb -7.065 -4.820 2.327
Pb -4.495 -5.966 5.584
Bi -5.463 -2.617 11.192
```

Summary:
The calculation puts the total energy at -4.011 eV per atom. For the formation energy, the calculation gives 0.17 eV per atom.